This record from the Materials Project database describes a geometry-optimized KTeAu structure. The functional is PBE-GGA. Values from VASP.

```
&SYSTEM
  ibrav = 0, nat = 6, ntyp = 3
/
ATOMIC_SPECIES
K 39.10 K.upf
Te 127.60 Te.upf
Au 196.97 Au.upf
CELL_PARAMETERS angstrom
4.759 0.000 0.000
-2.380 4.122 0.000
0.000 0.000 10.079
ATOMIC_POSITIONS crystal
K 0.000 0.000 0.000
K 0.000 0.000 0.500
Te 0.333 0.667 0.250
Te 0.667 0.333 0.750
Au 0.333 0.667 0.750
Au 0.667 0.333 0.250
```

Properties
The value obtained for the formation energy is -65.42 kJ/mol of atoms.